No. 1
# Na4Zr2Sc2Si3S3O24 | Materials Project | PBE | relaxed
# formation energy = -2854 meV per atom
# total magnetic moment = 0.00 μB per cell
data_Na4Zr2Sc2Si3S3O24
_chemical_formula_sum 'Na12 Zr6 Sc6 Si9 S9 O72'
_cell_length_a 9.049
_cell_length_b 9.097
_cell_length_c 23.206
_cell_angle_alpha 89.74
_cell_angle_beta 89.94
_cell_angle_gamma 60.25
_symmetry_space_group_name_H-M 'P 1'
_symmetry_Int_Tables_number 1
loop_
_symmetry_equiv_pos_as_xyz
'x,y,z'
loop_
_atom_site_label
_atom_site_fract_x
_atom_site_fract_y
_atom_site_fract_z
_atom_site_occupancy
Na1 0.000 0.000 0.000 1
Na2 0.003 0.677 0.594 1
Na3 0.282 0.684 0.087 1
Na4 0.304 0.345 0.174 1
Na5 0.313 0.342 0.665 1
Na6 0.336 0.009 0.257 1
Na7 0.624 0.008 0.747 1
Na8 0.636 0.678 0.338 1
Na9 0.652 0.668 0.826 1
Na10 0.674 0.348 0.910 1
Na11 0.957 0.335 0.426 1
Na12 0.980 0.023 0.508 1
Zr1 0.307 0.370 0.814 1
Zr2 0.309 0.347 0.319 1
Zr3 0.629 0.693 0.986 1
Zr4 0.641 0.692 0.490 1
Zr5 0.962 0.027 0.652 1
Zr6 0.995 0.013 0.156 1
Sc1 0.307 0.345 0.023 1
Sc2 0.319 0.320 0.527 1
Sc3 0.642 0.681 0.195 1
Sc4 0.665 0.665 0.690 1
Sc5 0.986 0.999 0.852 1
Sc6 0.997 0.014 0.356 1
Si1 0.275 0.716 0.255 1
Si2 0.303 0.645 0.925 1
Si3 0.316 0.047 0.421 1
Si4 0.353 0.981 0.091 1
Si5 0.643 0.975 0.593 1
Si6 0.691 0.310 0.760 1
Si7 0.941 0.386 0.586 1
Si8 0.973 0.314 0.258 1
Si9 0.974 0.725 0.753 1
S1 0.020 0.346 0.923 1
S2 0.021 0.641 0.423 1
S3 0.273 0.012 0.756 1
S4 0.354 0.680 0.589 1
S5 0.604 0.056 0.922 1
S6 0.605 0.345 0.422 1
S7 0.647 0.387 0.088 1
S8 0.691 0.013 0.256 1
S9 0.937 0.680 0.088 1
O1 0.011 0.184 0.202 1
O2 0.011 0.806 0.695 1
O3 0.101 0.367 0.871 1
O4 0.109 0.529 0.371 1
O5 0.114 0.531 0.083 1
O6 0.122 0.387 0.581 1
O7 0.122 0.566 0.475 1
O8 0.125 0.324 0.975 1
O9 0.138 0.039 0.417 1
O10 0.140 0.534 0.761 1
O11 0.144 0.834 0.918 1
O12 0.157 0.314 0.261 1
O13 0.161 0.800 0.195 1
O14 0.166 0.984 0.092 1
O15 0.168 0.041 0.704 1
O16 0.179 0.844 0.308 1
O17 0.182 0.834 0.593 1
O18 0.190 0.992 0.808 1
O19 0.282 0.177 0.474 1
O20 0.292 0.550 0.984 1
O21 0.295 0.165 0.764 1
O22 0.300 0.527 0.262 1
O23 0.329 0.168 0.081 1
O24 0.329 0.532 0.581 1
O25 0.340 0.140 0.362 1
O26 0.345 0.514 0.871 1
O27 0.436 0.704 0.536 1
O28 0.444 0.863 0.751 1
O29 0.448 0.851 0.035 1
O30 0.457 0.656 0.640 1
O31 0.458 0.712 0.249 1
O32 0.465 0.886 0.147 1
O33 0.484 0.858 0.426 1
O34 0.485 0.165 0.584 1
O35 0.488 0.377 0.082 1
O36 0.490 0.647 0.930 1
O37 0.500 0.369 0.369 1
O38 0.502 0.127 0.870 1
O39 0.507 0.306 0.764 1
O40 0.516 0.163 0.973 1
O41 0.516 0.167 0.259 1
O42 0.519 0.332 0.473 1
O43 0.617 0.890 0.650 1
O44 0.622 0.496 0.138 1
O45 0.630 0.881 0.930 1
O46 0.631 0.496 0.424 1
O47 0.656 0.500 0.751 1
O48 0.666 0.864 0.250 1
O49 0.674 0.464 0.034 1
O50 0.674 0.851 0.536 1
O51 0.770 0.036 0.202 1
O52 0.773 0.046 0.919 1
O53 0.776 0.191 0.417 1
O54 0.781 0.183 0.704 1
O55 0.792 0.992 0.307 1
O56 0.796 0.215 0.094 1
O57 0.797 0.223 0.819 1
O58 0.800 0.716 0.751 1
O59 0.815 0.501 0.246 1
O60 0.826 0.976 0.593 1
O61 0.827 0.470 0.526 1
O62 0.836 0.696 0.036 1
O63 0.847 0.501 0.930 1
O64 0.847 0.510 0.640 1
O65 0.853 0.644 0.425 1
O66 0.857 0.657 0.140 1
O67 0.948 0.227 0.315 1
O68 0.952 0.842 0.809 1
O69 0.954 0.836 0.091 1
O70 0.969 0.195 0.593 1
O71 0.993 0.198 0.920 1
O72 0.993 0.813 0.413 1

---

No. 2
# Na5ZrSc3Si3S3O24 | Materials Project | PBE | relaxed
# formation energy = -2830 meV per atom
# total magnetic moment = 0.00 μB per cell
data_Na5ZrSc3Si3S3O24
_chemical_formula_sum 'Na15 Zr3 Sc9 Si9 S9 O72'
_cell_length_a 9.099
_cell_length_b 9.102
_cell_length_c 22.845
_cell_angle_alpha 89.81
_cell_angle_beta 89.59
_cell_angle_gamma 60.22
_symmetry_space_group_name_H-M 'P 1'
_symmetry_Int_Tables_number 1
loop_
_symmetry_equiv_pos_as_xyz
'x,y,z'
loop_
_atom_site_label
_atom_site_fract_x
_atom_site_fract_y
_atom_site_fract_z
_atom_site_occupancy
Na1 0.000 0.000 0.000 1
Na2 0.002 0.733 0.499 1
Na3 0.265 0.427 0.337 1
Na4 0.280 0.748 0.420 1
Na5 0.294 0.741 0.924 1
Na6 0.319 0.353 0.666 1
Na7 0.324 0.390 0.013 1
Na8 0.327 0.069 0.166 1
Na9 0.614 0.372 0.516 1
Na10 0.627 0.038 0.093 1
Na11 0.627 0.059 0.591 1
Na12 0.934 0.092 0.675 1
Na13 0.941 0.385 0.764 1
Na14 0.941 0.412 0.259 1
Na15 0.949 0.706 0.181 1
Zr1 0.654 0.042 0.442 1
Zr2 0.657 0.031 0.942 1
Zr3 0.980 0.393 0.109 1
Sc1 0.312 0.705 0.272 1
Sc2 0.314 0.706 0.570 1
Sc3 0.317 0.711 0.778 1
Sc4 0.325 0.708 0.072 1
Sc5 0.651 0.033 0.237 1
Sc6 0.655 0.055 0.741 1
Sc7 0.976 0.370 0.606 1
Sc8 0.989 0.376 0.407 1
Sc9 0.993 0.366 0.905 1
Si1 0.274 0.082 0.007 1
Si2 0.274 0.377 0.509 1
Si3 0.320 0.412 0.173 1
Si4 0.604 0.710 0.175 1
Si5 0.608 0.420 0.673 1
Si6 0.949 0.742 0.338 1
Si7 0.951 0.047 0.838 1
Si8 0.984 0.673 0.004 1
Si9 0.985 0.082 0.507 1
S1 0.017 0.713 0.673 1
S2 0.019 0.005 0.172 1
S3 0.314 0.004 0.673 1
S4 0.351 0.341 0.839 1
S5 0.352 0.045 0.339 1
S6 0.646 0.752 0.837 1
S7 0.647 0.339 0.339 1
S8 0.687 0.378 0.004 1
S9 0.688 0.670 0.506 1
O1 0.002 0.175 0.167 1
O2 0.003 0.549 0.951 1
O3 0.006 0.556 0.669 1
O4 0.092 0.741 0.619 1
O5 0.094 0.904 0.118 1
O6 0.125 0.694 0.724 1
O7 0.127 0.923 0.224 1
O8 0.136 0.875 0.834 1
O9 0.139 0.722 0.339 1
O10 0.144 0.890 0.512 1
O11 0.145 0.174 0.953 1
O12 0.145 0.391 0.169 1
O13 0.153 0.692 0.008 1
O14 0.154 0.413 0.451 1
O15 0.159 0.177 0.669 1
O16 0.182 0.359 0.842 1
O17 0.184 0.360 0.568 1
O18 0.185 0.203 0.344 1
O19 0.187 0.197 0.067 1
O20 0.280 0.533 0.231 1
O21 0.288 0.923 0.725 1
O22 0.295 0.895 0.012 1
O23 0.302 0.544 0.512 1
O24 0.331 0.905 0.620 1
O25 0.333 0.503 0.113 1
O26 0.333 0.894 0.338 1
O27 0.339 0.509 0.836 1
O28 0.432 0.067 0.286 1
O29 0.436 0.239 0.785 1
O30 0.453 0.086 0.999 1
O31 0.453 0.253 0.892 1
O32 0.457 0.032 0.391 1
O33 0.464 0.028 0.678 1
O34 0.466 0.211 0.501 1
O35 0.479 0.220 0.180 1
O36 0.481 0.750 0.119 1
O37 0.488 0.506 0.337 1
O38 0.493 0.735 0.835 1
O39 0.499 0.501 0.612 1
O40 0.499 0.538 0.728 1
O41 0.507 0.697 0.233 1
O42 0.516 0.525 0.010 1
O43 0.517 0.689 0.513 1
O44 0.623 0.227 0.677 1
O45 0.626 0.256 0.394 1
O46 0.626 0.855 0.891 1
O47 0.639 0.873 0.179 1
O48 0.659 0.843 0.786 1
O49 0.662 0.235 0.289 1
O50 0.670 0.223 0.000 1
O51 0.670 0.842 0.501 1
O52 0.765 0.568 0.454 1
O53 0.768 0.399 0.951 1
O54 0.793 0.350 0.057 1
O55 0.794 0.541 0.170 1
O56 0.795 0.593 0.559 1
O57 0.797 0.359 0.344 1
O58 0.800 0.585 0.842 1
O59 0.803 0.388 0.671 1
O60 0.813 0.057 0.500 1
O61 0.818 0.868 0.001 1
O62 0.838 0.063 0.779 1
O63 0.840 0.841 0.280 1
O64 0.846 0.030 0.895 1
O65 0.846 0.855 0.397 1
O66 0.846 0.865 0.679 1
O67 0.849 0.022 0.179 1
O68 0.941 0.198 0.566 1
O69 0.955 0.593 0.066 1
O70 0.961 0.220 0.842 1
O71 0.971 0.551 0.342 1
O72 0.995 0.186 0.451 1

---

No. 3
# Na8Zr2Sc2Si5SO24 | Materials Project | PBE | relaxed
# formation energy = -2990 meV per atom
# total magnetic moment = 0.00 μB per cell
data_Na8Zr2Sc2Si5SO24
_chemical_formula_sum 'Na24 Zr6 Sc6 Si15 S3 O72'
_cell_length_a 9.236
_cell_length_b 9.251
_cell_length_c 22.855
_cell_angle_alpha 89.72
_cell_angle_beta 89.93
_cell_angle_gamma 60.06
_symmetry_space_group_name_H-M 'P 1'
_symmetry_Int_Tables_number 1
loop_
_symmetry_equiv_pos_as_xyz
'x,y,z'
loop_
_atom_site_label
_atom_site_fract_x
_atom_site_fract_y
_atom_site_fract_z
_atom_site_occupancy
Na1 0.000 0.000 0.000 1
Na2 0.000 0.362 0.498 1
Na3 0.023 0.048 0.336 1
Na4 0.023 0.305 0.835 1
Na5 0.030 0.677 0.582 1
Na6 0.035 0.671 0.082 1
Na7 0.066 0.963 0.663 1
Na8 0.075 0.325 0.168 1
Na9 0.317 0.707 0.161 1
Na10 0.341 0.331 0.666 1
Na11 0.355 0.020 0.250 1
Na12 0.357 0.370 0.000 1
Na13 0.358 0.645 0.502 1
Na14 0.371 0.996 0.750 1
Na15 0.396 0.290 0.331 1
Na16 0.399 0.667 0.833 1
Na17 0.661 0.040 0.832 1
Na18 0.670 0.673 0.336 1
Na19 0.680 0.716 0.667 1
Na20 0.692 0.980 0.167 1
Na21 0.695 0.338 0.914 1
Na22 0.705 0.330 0.416 1
Na23 0.724 0.003 0.500 1
Na24 0.725 0.640 0.998 1
Zr1 0.014 0.673 0.436 1
Zr2 0.028 0.670 0.934 1
Zr3 0.029 0.679 0.735 1
Zr4 0.362 0.002 0.899 1
Zr5 0.685 0.332 0.563 1
Zr6 0.691 0.325 0.063 1
Sc1 0.026 0.667 0.233 1
Sc2 0.352 0.014 0.098 1
Sc3 0.361 0.014 0.402 1
Sc4 0.371 0.994 0.597 1
Sc5 0.679 0.340 0.770 1
Sc6 0.708 0.312 0.267 1
Si1 0.026 0.374 0.332 1
Si2 0.027 0.970 0.834 1
Si3 0.065 0.299 0.000 1
Si4 0.071 0.003 0.500 1
Si5 0.321 0.375 0.833 1
Si6 0.357 0.297 0.501 1
Si7 0.362 0.711 0.002 1
Si8 0.398 0.338 0.169 1
Si9 0.399 0.633 0.667 1
Si10 0.651 0.710 0.499 1
Si11 0.654 0.999 0.001 1
Si12 0.692 0.041 0.668 1
Si13 0.731 0.963 0.332 1
Si14 0.734 0.667 0.833 1
Si15 0.995 0.037 0.167 1
S1 0.321 0.670 0.333 1
S2 0.694 0.628 0.167 1
S3 0.986 0.336 0.667 1
O1 0.001 0.494 0.389 1
O2 0.003 0.489 0.671 1
O3 0.005 0.855 0.173 1
O4 0.048 0.484 0.994 1
O5 0.052 0.835 0.493 1
O6 0.059 0.464 0.276 1
O7 0.063 0.847 0.777 1
O8 0.150 0.179 0.943 1
O9 0.153 0.036 0.442 1
O10 0.155 0.187 0.661 1
O11 0.181 0.018 0.163 1
O12 0.183 0.217 0.057 1
O13 0.185 0.971 0.558 1
O14 0.192 0.188 0.337 1
O15 0.196 0.690 0.995 1
O16 0.197 0.486 0.492 1
O17 0.198 0.980 0.838 1
O18 0.200 0.462 0.775 1
O19 0.212 0.506 0.172 1
O20 0.215 0.642 0.671 1
O21 0.215 0.696 0.281 1
O22 0.233 0.495 0.890 1
O23 0.243 0.642 0.385 1
O24 0.322 0.217 0.559 1
O25 0.330 0.827 0.059 1
O26 0.336 0.821 0.338 1
O27 0.337 0.191 0.838 1
O28 0.375 0.821 0.662 1
O29 0.388 0.166 0.163 1
O30 0.395 0.795 0.943 1
O31 0.398 0.181 0.443 1
O32 0.487 0.370 0.111 1
O33 0.489 0.521 0.327 1
O34 0.490 0.513 0.610 1
O35 0.504 0.360 0.829 1
O36 0.518 0.313 0.225 1
O37 0.520 0.545 0.723 1
O38 0.523 0.028 0.662 1
O39 0.527 0.315 0.505 1
O40 0.531 0.526 0.007 1
O41 0.535 0.037 0.943 1
O42 0.536 0.790 0.441 1
O43 0.545 0.796 0.162 1
O44 0.548 0.976 0.337 1
O45 0.551 0.838 0.838 1
O46 0.571 0.967 0.059 1
O47 0.575 0.826 0.557 1
O48 0.668 0.159 0.724 1
O49 0.669 0.549 0.220 1
O50 0.671 0.169 0.005 1
O51 0.680 0.520 0.508 1
O52 0.713 0.150 0.329 1
O53 0.720 0.500 0.827 1
O54 0.721 0.524 0.115 1
O55 0.729 0.127 0.610 1
O56 0.822 0.701 0.775 1
O57 0.824 0.844 0.276 1
O58 0.839 0.691 0.494 1
O59 0.841 0.836 0.995 1
O60 0.846 0.645 0.172 1
O61 0.851 0.369 0.328 1
O62 0.853 0.639 0.890 1
O63 0.854 0.876 0.389 1
O64 0.862 0.152 0.826 1
O65 0.862 0.853 0.671 1
O66 0.871 0.132 0.111 1
O67 0.879 0.320 0.008 1
O68 0.882 0.363 0.614 1
O69 0.884 0.171 0.507 1
O70 0.907 0.160 0.223 1
O71 0.908 0.312 0.719 1
O72 0.994 0.879 0.890 1